AgC6: optimized geometry, PBE.

Cell and atoms, written as POSCAR:
```
AgC6
1.0
4.136 2.964 -4.464
-4.440 -5.105 -0.205
-3.837 3.389 -1.305
Ag C
1 6
direct
0.000 0.000 0.000
0.000 0.000 0.380
0.000 0.000 0.620
0.377 0.881 0.000
0.623 0.119 0.000
0.881 0.377 0.000
0.119 0.623 0.000
```

Final energy ... -48.48 eV per cell
Calculated density ... 1.76 g cm⁻³
Magnetic moment ... 1.0 Bohr magnetons per cell
Space-group type ... Cmmm, No. 65


Cs2CaAg2H4C6S6N6O2: optimized geometry, PBE.

Cell and atoms, written as POSCAR:
```
Cs2CaAg2H4C6S6N6O2
1.0
-1.768 6.774 -4.530
4.233 -9.720 -16.188
-7.758 -2.455 -0.555
Cs Ca Ag H C S N O
4 2 4 8 12 12 12 4
direct
0.752 0.883 0.977
0.248 0.383 0.523
0.248 0.117 0.023
0.752 0.617 0.477
0.000 0.000 0.500
0.000 0.500 0.000
0.271 0.783 0.015
0.729 0.283 0.485
0.729 0.217 0.985
0.271 0.717 0.515
0.663 0.955 0.527
0.337 0.455 0.973
0.337 0.045 0.473
0.663 0.545 0.027
0.663 0.023 0.629
0.337 0.523 0.871
0.337 0.977 0.371
0.663 0.477 0.129
0.185 0.939 0.870
0.815 0.439 0.630
0.815 0.061 0.130
0.185 0.561 0.370
0.017 0.673 0.862
0.983 0.173 0.638
0.983 0.327 0.138
0.017 0.827 0.362
0.524 0.653 0.961
0.476 0.153 0.539
0.476 0.347 0.039
0.524 0.847 0.461
0.298 0.915 0.025
0.702 0.415 0.475
0.702 0.085 0.975
0.298 0.585 0.525
0.063 0.751 0.797
0.937 0.251 0.703
0.937 0.249 0.203
0.063 0.749 0.297
0.524 0.719 0.090
0.476 0.219 0.410
0.476 0.281 0.910
0.524 0.781 0.590
0.103 0.960 0.762
0.897 0.460 0.738
0.897 0.040 0.238
0.103 0.540 0.262
0.980 0.617 0.905
0.020 0.117 0.595
0.020 0.383 0.095
0.980 0.883 0.405
0.530 0.604 0.874
0.470 0.104 0.626
0.470 0.396 0.126
0.530 0.896 0.374
0.730 0.984 0.600
0.270 0.484 0.900
0.270 0.016 0.400
0.730 0.516 0.100
```

Final energy ... -349.91 eV per cell
Calculated density ... 2.29 g cm⁻³
Magnetic moment ... 0.2 Bohr magnetons per cell
Space-group type ... P2_1/c, No. 14


RbCdAg3C6N6: optimized geometry, PBE.

Cell and atoms, written as POSCAR:
```
RbCdAg3C6N6
1.0
-6.755 -1.974 -1.886
4.200 -4.572 3.813
-2.908 3.212 7.054
Rb Cd Ag C N
1 1 3 6 6
direct
0.333 0.667 0.000
0.000 0.000 0.000
0.510 0.019 0.500
0.510 0.490 0.500
0.981 0.490 0.500
0.659 0.010 0.708
0.659 0.649 0.292
0.351 0.010 0.292
0.990 0.649 0.708
0.351 0.341 0.708
0.990 0.341 0.292
0.742 0.742 0.174
0.742 0.000 0.826
0.258 0.258 0.826
0.258 0.000 0.174
0.000 0.258 0.174
0.000 0.742 0.826
```

Final energy ... -111.61 eV per cell
Calculated density ... 2.96 g cm⁻³
Magnetic moment ... 0.0 Bohr magnetons per cell
Space-group type ... P312, No. 149


AgSbC2N2Cl2F6: optimized geometry, PBE.

Cell and atoms, written as POSCAR:
```
AgSbC2N2Cl2F6
1.0
7.805 0.000 0.000
0.000 9.349 0.000
-4.647 0.000 8.178
Ag Sb C N Cl F
2 2 4 4 4 12
direct
0.000 0.500 0.500
0.000 0.000 0.000
0.000 0.000 0.500
0.000 0.500 0.000
0.390 0.666 0.552
0.390 0.834 0.052
0.610 0.334 0.448
0.610 0.166 0.948
0.266 0.596 0.551
0.266 0.904 0.051
0.734 0.404 0.449
0.734 0.096 0.949
0.561 0.762 0.553
0.561 0.738 0.053
0.439 0.238 0.447
0.439 0.262 0.947
0.083 0.954 0.344
0.083 0.546 0.844
0.917 0.046 0.656
0.917 0.454 0.156
0.255 0.948 0.678
0.255 0.552 0.178
0.745 0.052 0.322
0.745 0.448 0.822
0.909 0.806 0.489
0.909 0.694 0.989
0.091 0.194 0.511
0.091 0.306 0.011
```

Final energy ... -144.48 eV per cell
Energy relative to the lowest polymorph listed for this composition ... 0.0 meV/atom
Calculated density ... 2.60 g cm⁻³
Magnetic moment ... 0.0 Bohr magnetons per cell
Space-group type ... P2_1/c, No. 14


AgSbC2N2Cl2F6: optimized geometry, PBE.

Cell and atoms, written as POSCAR:
```
AgSbC2N2Cl2F6
1.0
8.886 0.000 0.000
0.000 7.811 0.000
0.000 5.411 9.243
Ag Sb C N Cl F
2 2 4 4 4 12
direct
0.000 0.000 0.000
0.000 0.000 0.500
0.500 0.000 0.500
0.500 0.000 0.000
0.170 0.609 0.540
0.830 0.391 0.460
0.170 0.391 0.960
0.830 0.609 0.040
0.093 0.268 0.961
0.907 0.268 0.461
0.093 0.732 0.539
0.907 0.732 0.039
0.269 0.563 0.957
0.269 0.437 0.543
0.731 0.437 0.043
0.731 0.563 0.457
0.439 0.858 0.406
0.561 0.858 0.906
0.297 0.899 0.014
0.561 0.142 0.594
0.550 0.769 0.181
0.550 0.231 0.319
0.439 0.142 0.094
0.297 0.101 0.486
0.703 0.101 0.986
0.450 0.231 0.819
0.450 0.769 0.681
0.703 0.899 0.514
```

Final energy ... -143.73 eV per cell
Energy relative to the lowest polymorph listed for this composition ... 26.6 meV/atom
Calculated density ... 2.42 g cm⁻³
Magnetic moment ... 0.0 Bohr magnetons per cell
Space-group type ... P2/c, No. 13


Ag2H12C6N3Cl: optimized geometry, PBE.

Cell and atoms, written as POSCAR:
```
Ag2H12C6N3Cl
1.0
9.044 0.000 0.000
0.000 9.052 0.000
0.000 0.000 13.672
Ag H C N Cl
8 48 24 12 4
direct
0.053 0.861 0.640
0.428 0.411 0.245
0.072 0.911 0.245
0.928 0.089 0.745
0.947 0.139 0.140
0.447 0.361 0.640
0.553 0.639 0.140
0.572 0.589 0.745
0.988 0.240 0.391
0.929 0.469 0.607
0.012 0.760 0.891
0.637 0.897 0.959
0.597 0.138 0.540
0.764 0.495 0.536
0.488 0.260 0.891
0.165 0.434 0.526
0.687 0.770 0.450
0.097 0.362 0.040
0.049 0.533 0.800
0.583 0.137 0.364
0.863 0.397 0.959
0.777 0.495 0.360
0.977 0.241 0.521
0.451 0.033 0.800
0.736 0.995 0.536
0.236 0.505 0.036
0.429 0.031 0.107
0.674 0.067 0.895
0.903 0.638 0.540
0.951 0.467 0.300
0.326 0.933 0.395
0.083 0.363 0.864
0.403 0.862 0.040
0.223 0.505 0.860
0.264 0.005 0.036
0.335 0.934 0.526
0.023 0.759 0.021
0.417 0.863 0.864
0.665 0.066 0.026
0.363 0.103 0.459
0.826 0.567 0.895
0.071 0.531 0.107
0.313 0.230 0.950
0.917 0.637 0.364
0.277 0.005 0.860
0.137 0.603 0.459
0.835 0.566 0.026
0.174 0.433 0.395
0.723 0.995 0.360
0.512 0.740 0.391
0.523 0.741 0.521
0.571 0.969 0.607
0.549 0.967 0.300
0.813 0.270 0.450
0.187 0.730 0.950
0.477 0.259 0.021
0.068 0.712 0.954
0.383 0.981 0.041
0.396 0.982 0.862
0.121 0.483 0.459
0.342 0.640 0.233
0.604 0.018 0.362
0.432 0.212 0.954
0.617 0.019 0.541
0.870 0.812 0.195
0.932 0.288 0.454
0.883 0.519 0.541
0.842 0.860 0.733
0.879 0.517 0.959
0.630 0.312 0.195
0.104 0.482 0.862
0.370 0.688 0.695
0.621 0.017 0.959
0.130 0.188 0.695
0.568 0.788 0.454
0.117 0.481 0.041
0.379 0.983 0.459
0.658 0.360 0.733
0.158 0.140 0.233
0.896 0.518 0.362
0.238 0.240 0.246
0.258 0.742 0.671
0.762 0.760 0.746
0.458 0.048 0.954
0.738 0.260 0.746
0.758 0.758 0.171
0.042 0.548 0.954
0.542 0.952 0.454
0.262 0.740 0.246
0.742 0.258 0.171
0.958 0.452 0.454
0.242 0.242 0.671
0.504 0.399 0.456
0.004 0.101 0.956
0.996 0.899 0.456
0.496 0.601 0.956
```

Final energy ... -519.15 eV per cell
Calculated density ... 2.24 g cm⁻³
Magnetic moment ... 0.0 Bohr magnetons per cell
Space-group type ... Pna2_1, No. 33


AgH14C3S3N6ClO: optimized geometry, PBE.

Cell and atoms, written as POSCAR:
```
AgH14C3S3N6ClO
1.0
6.264 0.000 0.000
-2.100 9.912 0.000
-0.371 -2.191 11.121
Ag H C S N Cl O
2 28 6 6 12 2 2
direct
0.372 0.465 0.614
0.628 0.535 0.386
0.823 0.164 0.570
0.177 0.836 0.430
0.680 0.292 0.625
0.320 0.708 0.375
0.729 0.037 0.368
0.271 0.963 0.632
0.506 0.068 0.288
0.494 0.932 0.712
0.981 0.268 0.876
0.019 0.732 0.124
0.088 0.415 0.819
0.912 0.585 0.181
0.201 0.126 0.918
0.799 0.874 0.082
0.476 0.155 0.884
0.524 0.845 0.116
0.019 0.846 0.902
0.981 0.154 0.098
0.843 0.765 0.774
0.157 0.235 0.226
0.338 0.776 0.935
0.662 0.224 0.065
0.395 0.631 0.842
0.605 0.369 0.158
0.943 0.042 0.713
0.057 0.958 0.287
0.892 0.938 0.592
0.108 0.062 0.408
0.581 0.190 0.454
0.419 0.810 0.546
0.312 0.305 0.856
0.688 0.695 0.144
0.111 0.684 0.794
0.889 0.316 0.206
0.376 0.278 0.433
0.624 0.722 0.567
0.536 0.409 0.811
0.464 0.591 0.189
0.034 0.557 0.668
0.966 0.443 0.332
0.712 0.222 0.555
0.288 0.778 0.445
0.604 0.088 0.365
0.396 0.912 0.635
0.116 0.337 0.860
0.884 0.663 0.140
0.333 0.189 0.892
0.667 0.811 0.108
0.977 0.768 0.829
0.023 0.232 0.171
0.301 0.703 0.859
0.699 0.297 0.141
0.229 0.947 0.105
0.771 0.053 0.895
0.986 0.028 0.629
0.014 0.972 0.371
```

Final energy ... -314.43 eV per cell
Calculated density ... 1.87 g cm⁻³
Magnetic moment ... 0.0 Bohr magnetons per cell
Space-group type ... P-1, No. 2